SmIn2Rh after structural relaxation, computed with r2SCAN. Values from VASP.

Properties
calculated formation energy	-0.727	eV/atom

```
&SYSTEM
  ibrav = 0, nat = 8, ntyp = 3
/
ATOMIC_SPECIES
Sm 150.36 Sm.upf
In 114.82 In.upf
Rh 102.91 Rh.upf
ATOMIC_POSITIONS crystal
Sm 0.0675 0.9325 0.7500
Sm 0.9325 0.0675 0.2500
In 0.3547 0.6453 0.5507
In 0.3547 0.6453 0.9493
In 0.6453 0.3547 0.0507
In 0.6453 0.3547 0.4493
Rh 0.2151 0.7849 0.2500
Rh 0.7849 0.2151 0.7500
CELL_PARAMETERS angstrom
2.2033 -5.0895 0.0000
2.2033 5.0895 0.0000
0.0000 0.0000 7.9225
```

=====

CeTlF5 after structural relaxation, computed with r2SCAN. Values from VASP.

Properties
calculated formation energy	-3.434	eV/atom

```
&SYSTEM
  ibrav = 0, nat = 56, ntyp = 3
/
ATOMIC_SPECIES
Ce 140.12 Ce.upf
Tl 204.38 Tl.upf
F 19.00 F.upf
ATOMIC_POSITIONS crystal
Ce 0.0170 0.2439 0.0959
Ce 0.0170 0.2561 0.5959
Ce 0.4440 0.2463 0.9634
Ce 0.4440 0.2537 0.4634
Ce 0.5560 0.7463 0.5366
Ce 0.5560 0.7537 0.0366
Ce 0.9830 0.7439 0.4041
Ce 0.9830 0.7561 0.9041
Tl 0.2331 0.5227 0.7222
Tl 0.2331 0.9773 0.2222
Tl 0.2778 0.5189 0.1977
Tl 0.2778 0.9811 0.6977
Tl 0.7222 0.0189 0.3023
Tl 0.7222 0.4811 0.8023
Tl 0.7669 0.0227 0.7778
Tl 0.7669 0.4773 0.2778
F 0.0216 0.5995 0.9375
F 0.0216 0.9005 0.4375
F 0.0681 0.5928 0.3887
F 0.0681 0.9072 0.8887
F 0.0800 0.7081 0.6766
F 0.0800 0.7919 0.1766
F 0.1792 0.1791 0.3559
F 0.1792 0.3209 0.8559
F 0.2251 0.1483 0.0159
F 0.2251 0.3517 0.5159
F 0.2697 0.7398 0.9704
F 0.2697 0.7602 0.4704
F 0.2827 0.1869 0.6889
F 0.2827 0.3131 0.1889
F 0.4695 0.6953 0.2670
F 0.4695 0.8047 0.7670
F 0.4720 0.6000 0.5774
F 0.4720 0.9000 0.0774
F 0.4906 0.1006 0.5184
F 0.4906 0.3994 0.0184
F 0.5094 0.6006 0.9816
F 0.5094 0.8994 0.4816
F 0.5280 0.1000 0.9226
F 0.5280 0.4000 0.4226
F 0.5305 0.1953 0.2330
F 0.5305 0.3047 0.7330
F 0.7173 0.6869 0.8111
F 0.7173 0.8131 0.3111
F 0.7303 0.2398 0.5296
F 0.7303 0.2602 0.0296
F 0.7749 0.6483 0.4841
F 0.7749 0.8517 0.9841
F 0.8208 0.6791 0.1441
F 0.8208 0.8209 0.6441
F 0.9200 0.2081 0.8234
F 0.9200 0.2919 0.3234
F 0.9319 0.0928 0.1113
F 0.9319 0.4072 0.6113
F 0.9784 0.0995 0.5625
F 0.9784 0.4005 0.0625
CELL_PARAMETERS angstrom
8.1577 0.0000 0.0000
0.0000 13.5406 0.0000
-1.8565 0.0000 8.0627
```

=====

TbOs2 after structural relaxation, computed with r2SCAN. Values from VASP.

Properties
calculated formation energy	-0.369	eV/atom

```
&SYSTEM
  ibrav = 0, nat = 12, ntyp = 2
/
ATOMIC_SPECIES
Tb 158.93 Tb.upf
Os 190.23 Os.upf
ATOMIC_POSITIONS crystal
Tb 0.3333 0.6667 0.0654
Tb 0.3333 0.6667 0.4346
Tb 0.6667 0.3333 0.5654
Tb 0.6667 0.3333 0.9346
Os 0.0000 0.0000 0.0000
Os 0.0000 0.0000 0.5000
Os 0.1710 0.3420 0.7500
Os 0.1710 0.8290 0.7500
Os 0.3420 0.1710 0.2500
Os 0.6580 0.8290 0.7500
Os 0.8290 0.1710 0.2500
Os 0.8290 0.6580 0.2500
CELL_PARAMETERS angstrom
5.2765 0.0000 0.0000
-2.6383 4.5696 0.0000
0.0000 0.0000 8.9529
```

=====

Na3CoO3 after structural relaxation, computed with r2SCAN. Values from VASP.

Properties
ΔE to the lowest computed polymorph	11.0	meV/atom
calculated formation energy	-1.514	eV/atom

```
&SYSTEM
  ibrav = 0, nat = 28, ntyp = 3
/
ATOMIC_SPECIES
Na 22.99 Na.upf
Co 58.93 Co.upf
O 16.00 O.upf
ATOMIC_POSITIONS crystal
Na 0.0763 0.1381 0.1524
Na 0.0763 0.3619 0.6524
Na 0.3553 0.7176 0.8123
Na 0.3553 0.7824 0.3123
Na 0.3704 0.2011 0.9168
Na 0.3704 0.2989 0.4168
Na 0.6296 0.7011 0.5832
Na 0.6296 0.7989 0.0832
Na 0.6447 0.2176 0.6877
Na 0.6447 0.2824 0.1877
Na 0.9237 0.6381 0.3476
Na 0.9237 0.8619 0.8476
Co 0.1757 0.5994 0.0674
Co 0.1757 0.9006 0.5674
Co 0.8243 0.0994 0.4326
Co 0.8243 0.4006 0.9326
O 0.1042 0.0329 0.3846
O 0.1042 0.4671 0.8846
O 0.2604 0.6198 0.5294
O 0.2604 0.8802 0.0294
O 0.3370 0.0664 0.6845
O 0.3370 0.4336 0.1845
O 0.6630 0.5664 0.8155
O 0.6630 0.9336 0.3155
O 0.7396 0.1198 0.9706
O 0.7396 0.3802 0.4706
O 0.8958 0.5329 0.1154
O 0.8958 0.9671 0.6154
CELL_PARAMETERS angstrom
6.5417 0.0000 0.0000
0.0000 5.9028 0.0000
-0.5703 0.0000 9.5407
```

=====

Ti3CoS6 after structural relaxation, computed with r2SCAN. Values from VASP.

Properties
calculated formation energy	-1.385	eV/atom

```
&SYSTEM
  ibrav = 0, nat = 10, ntyp = 3
/
ATOMIC_SPECIES
Ti 47.87 Ti.upf
Co 58.93 Co.upf
S 32.06 S.upf
ATOMIC_POSITIONS crystal
Ti 0.0000 0.0000 0.0000
Ti 0.3310 0.3310 0.3310
Ti 0.6690 0.6690 0.6690
Co 0.5000 0.5000 0.5000
S 0.0879 0.7491 0.4156
S 0.2509 0.5844 0.9121
S 0.4156 0.0879 0.7491
S 0.5844 0.9121 0.2509
S 0.7491 0.4156 0.0879
S 0.9121 0.2509 0.5844
CELL_PARAMETERS angstrom
2.9519 1.7043 5.6889
-2.9519 1.7043 5.6889
0.0000 -3.4086 5.6889
```

=====

La2Ge2O7 after structural relaxation, computed with r2SCAN. Values from VASP.

Properties
calculated formation energy	-2.833	eV/atom

```
&SYSTEM
  ibrav = 0, nat = 22, ntyp = 3
/
ATOMIC_SPECIES
La 138.91 La.upf
Ge 72.64 Ge.upf
O 16.00 O.upf
ATOMIC_POSITIONS crystal
La 0.0000 0.0000 0.0000
La 0.0634 0.5148 0.4829
La 0.3034 0.9886 0.4910
La 0.5747 0.4311 0.8446
Ge 0.1099 0.4767 0.9698
Ge 0.4639 0.8690 0.0396
Ge 0.5729 0.4275 0.3494
Ge 0.8053 0.9989 0.5008
O 0.0207 0.6114 0.1100
O 0.2479 0.6127 0.7324
O 0.2543 0.2534 0.1007
O 0.2951 0.9620 0.8464
O 0.3308 0.8008 0.2754
O 0.3542 0.3359 0.4819
O 0.5576 0.6115 0.0828
O 0.6253 0.8283 0.6512
O 0.6509 0.0474 0.9814
O 0.6683 0.2116 0.3057
O 0.7134 0.4984 0.5012
O 0.9236 0.3846 0.8647
O 0.9651 0.8893 0.3757
O 0.9709 0.1083 0.6081
CELL_PARAMETERS angstrom
6.9297 0.0000 0.0000
0.1568 7.0841 0.0000
0.2867 3.0843 6.3980
```

=====

NdSiNi4 after structural relaxation, computed with r2SCAN. Values from VASP.

Properties
calculated formation energy	-0.527	eV/atom

```
&SYSTEM
  ibrav = 0, nat = 6, ntyp = 3
/
ATOMIC_SPECIES
Nd 144.24 Nd.upf
Si 28.09 Si.upf
Ni 58.69 Ni.upf
ATOMIC_POSITIONS crystal
Nd 0.0000 0.0000 0.0000
Si 0.5000 0.5000 0.5000
Ni 0.0000 0.5000 0.5000
Ni 0.3421 0.6579 0.0000
Ni 0.5000 0.0000 0.5000
Ni 0.6579 0.3421 0.0000
CELL_PARAMETERS angstrom
2.5670 -4.1052 0.0000
2.5670 4.1052 0.0000
0.0000 0.0000 3.9257
```

=====

K3AsP3Se9 after structural relaxation, computed with r2SCAN. Values from VASP.

Properties
calculated formation energy	-0.617	eV/atom

```
&SYSTEM
  ibrav = 0, nat = 64, ntyp = 4
/
ATOMIC_SPECIES
K 39.10 K.upf
As 74.92 As.upf
P 30.97 P.upf
Se 78.96 Se.upf
ATOMIC_POSITIONS crystal
K 0.1005 0.1651 0.2187
K 0.1005 0.3349 0.7187
K 0.3465 0.5247 0.2251
K 0.3465 0.9753 0.7251
K 0.3753 0.6928 0.7547
K 0.3753 0.8072 0.2547
K 0.6247 0.1928 0.7453
K 0.6247 0.3072 0.2453
K 0.6535 0.0247 0.2749
K 0.6535 0.4753 0.7749
K 0.8995 0.6651 0.2813
K 0.8995 0.8349 0.7813
As 0.0325 0.0762 0.7294
As 0.0325 0.4238 0.2294
As 0.9675 0.5762 0.7706
As 0.9675 0.9238 0.2706
P 0.0549 0.1648 0.5266
P 0.0549 0.3352 0.0266
P 0.1213 0.5275 0.5794
P 0.1213 0.9725 0.0794
P 0.2652 0.6752 0.0451
P 0.2652 0.8248 0.5451
P 0.7348 0.1752 0.4549
P 0.7348 0.3248 0.9549
P 0.8787 0.0275 0.9206
P 0.8787 0.4725 0.4206
P 0.9451 0.6648 0.9734
P 0.9451 0.8352 0.4734
Se 0.0516 0.1045 0.9247
Se 0.0516 0.3955 0.4247
Se 0.1039 0.0824 0.4724
Se 0.1039 0.4176 0.9724
Se 0.1426 0.2385 0.4716
Se 0.1426 0.2615 0.9716
Se 0.1916 0.1673 0.7449
Se 0.1916 0.3327 0.2449
Se 0.2355 0.0173 0.2611
Se 0.2355 0.4827 0.7611
Se 0.3051 0.5974 0.9486
Se 0.3051 0.9026 0.4486
Se 0.3070 0.7463 0.4751
Se 0.3070 0.7537 0.9751
Se 0.3120 0.5577 0.5258
Se 0.3120 0.9423 0.0258
Se 0.4466 0.6631 0.2533
Se 0.4466 0.8369 0.7533
Se 0.5534 0.1631 0.2467
Se 0.5534 0.3369 0.7467
Se 0.6880 0.0577 0.9742
Se 0.6880 0.4423 0.4742
Se 0.6930 0.2463 0.0249
Se 0.6930 0.2537 0.5249
Se 0.6949 0.0974 0.5514
Se 0.6949 0.4026 0.0514
Se 0.7645 0.5173 0.2389
Se 0.7645 0.9827 0.7389
Se 0.8084 0.6673 0.7551
Se 0.8084 0.8327 0.2551
Se 0.8574 0.7385 0.0284
Se 0.8574 0.7615 0.5284
Se 0.8961 0.5824 0.0276
Se 0.8961 0.9176 0.5276
Se 0.9484 0.6045 0.5753
Se 0.9484 0.8955 0.0753
CELL_PARAMETERS angstrom
8.2230 0.0000 0.0000
0.0000 23.4543 0.0000
-6.9139 0.0000 10.2140
```

=====

EuHfS3 after structural relaxation, computed with r2SCAN. Values from VASP.

Properties
calculated formation energy	-2.086	eV/atom

```
&SYSTEM
  ibrav = 0, nat = 20, ntyp = 3
/
ATOMIC_SPECIES
Eu 151.96 Eu.upf
Hf 178.49 Hf.upf
S 32.06 S.upf
ATOMIC_POSITIONS crystal
Eu 0.0892 0.2500 0.0311
Eu 0.4108 0.7500 0.5311
Eu 0.5892 0.2500 0.4689
Eu 0.9108 0.7500 0.9689
Hf 0.0000 0.0000 0.5000
Hf 0.0000 0.5000 0.5000
Hf 0.5000 0.0000 0.0000
Hf 0.5000 0.5000 0.0000
S 0.0213 0.7500 0.3937
S 0.1934 0.5530 0.8138
S 0.1934 0.9470 0.8138
S 0.3066 0.0530 0.3138
S 0.3066 0.4470 0.3138
S 0.4787 0.2500 0.8937
S 0.5213 0.7500 0.1063
S 0.6934 0.5530 0.6862
S 0.6934 0.9470 0.6862
S 0.8066 0.0530 0.1862
S 0.8066 0.4470 0.1862
S 0.9787 0.2500 0.6063
CELL_PARAMETERS angstrom
7.0785 0.0000 0.0000
0.0000 9.6417 0.0000
0.0000 0.0000 6.6070
```

=====

NdSi2Ir2 after structural relaxation, computed with r2SCAN. Values from VASP.

Properties
calculated formation energy	-1.155	eV/atom

```
&SYSTEM
  ibrav = 0, nat = 5, ntyp = 3
/
ATOMIC_SPECIES
Nd 144.24 Nd.upf
Si 28.09 Si.upf
Ir 192.22 Ir.upf
ATOMIC_POSITIONS crystal
Nd 0.0000 0.0000 0.0000
Si 0.3749 0.3749 0.0000
Si 0.6251 0.6251 0.0000
Ir 0.2500 0.7500 0.5000
Ir 0.7500 0.2500 0.5000
CELL_PARAMETERS angstrom
-2.0526 2.0526 5.0719
2.0526 -2.0526 5.0719
2.0526 2.0526 -5.0719
```

=====

Sm2IrPd after structural relaxation, computed with r2SCAN. Values from VASP.

Properties
calculated formation energy	-0.846	eV/atom

```
&SYSTEM
  ibrav = 0, nat = 4, ntyp = 3
/
ATOMIC_SPECIES
Sm 150.36 Sm.upf
Ir 192.22 Ir.upf
Pd 106.42 Pd.upf
ATOMIC_POSITIONS crystal
Sm 0.2500 0.2500 0.2500
Sm 0.7500 0.7500 0.7500
Ir 0.0000 0.0000 0.0000
Pd 0.5000 0.5000 0.5000
CELL_PARAMETERS angstrom
0.0000 3.5164 3.5164
3.5164 0.0000 3.5164
3.5164 3.5164 0.0000
```

=====

Ge2Pt3 after structural relaxation, computed with r2SCAN. Values from VASP.

Properties
ΔE to the lowest computed polymorph	0.0	meV/atom
calculated formation energy	-0.456	eV/atom

```
&SYSTEM
  ibrav = 0, nat = 40, ntyp = 2
/
ATOMIC_SPECIES
Ge 72.64 Ge.upf
Pt 195.08 Pt.upf
ATOMIC_POSITIONS crystal
Ge 0.0062 0.2500 0.1275
Ge 0.0086 0.2500 0.6217
Ge 0.2462 0.0247 0.8742
Ge 0.2462 0.4753 0.8742
Ge 0.2538 0.5247 0.3742
Ge 0.2538 0.9753 0.3742
Ge 0.4914 0.7500 0.1217
Ge 0.4938 0.7500 0.6275
Ge 0.5062 0.2500 0.3725
Ge 0.5086 0.2500 0.8783
Ge 0.7462 0.0247 0.6258
Ge 0.7462 0.4753 0.6258
Ge 0.7538 0.5247 0.1258
Ge 0.7538 0.9753 0.1258
Ge 0.9914 0.7500 0.3783
Ge 0.9938 0.7500 0.8725
Pt 0.0890 0.5594 0.1271
Pt 0.0890 0.9406 0.1271
Pt 0.0912 0.5582 0.6238
Pt 0.0912 0.9418 0.6238
Pt 0.2147 0.2500 0.1514
Pt 0.2165 0.2500 0.5931
Pt 0.2835 0.7500 0.0931
Pt 0.2853 0.7500 0.6514
Pt 0.4088 0.0582 0.1238
Pt 0.4088 0.4418 0.1238
Pt 0.4110 0.0594 0.6271
Pt 0.4110 0.4406 0.6271
Pt 0.5890 0.5594 0.3729
Pt 0.5890 0.9406 0.3729
Pt 0.5912 0.5582 0.8762
Pt 0.5912 0.9418 0.8762
Pt 0.7147 0.2500 0.3486
Pt 0.7165 0.2500 0.9069
Pt 0.7835 0.7500 0.4069
Pt 0.7853 0.7500 0.8486
Pt 0.9088 0.0582 0.3762
Pt 0.9088 0.4418 0.3762
Pt 0.9110 0.0594 0.8729
Pt 0.9110 0.4406 0.8729
CELL_PARAMETERS angstrom
12.2993 0.0000 0.0000
0.0000 7.5853 0.0000
0.0000 0.0000 6.9124
```

=====

TlCdF3 after structural relaxation, computed with r2SCAN. Values from VASP.

Properties
calculated formation energy	-2.230	eV/atom

```
&SYSTEM
  ibrav = 0, nat = 40, ntyp = 3
/
ATOMIC_SPECIES
Tl 204.38 Tl.upf
Cd 112.41 Cd.upf
F 19.00 F.upf
ATOMIC_POSITIONS crystal
Tl 0.2461 0.1212 0.0000
Tl 0.2474 0.1281 0.5000
Tl 0.2526 0.6281 0.5000
Tl 0.2539 0.6212 0.0000
Tl 0.7461 0.3788 0.0000
Tl 0.7474 0.3719 0.5000
Tl 0.7526 0.8719 0.5000
Tl 0.7539 0.8788 0.0000
Cd 0.2476 0.8750 0.2503
Cd 0.2476 0.8750 0.7497
Cd 0.2524 0.3750 0.2503
Cd 0.2524 0.3750 0.7497
Cd 0.7476 0.6250 0.2503
Cd 0.7476 0.6250 0.7497
Cd 0.7524 0.1250 0.2503
Cd 0.7524 0.1250 0.7497
F 0.0000 0.0000 0.2030
F 0.0000 0.0000 0.7970
F 0.0000 0.5000 0.2181
F 0.0000 0.5000 0.7819
F 0.0169 0.2445 0.2889
F 0.0169 0.2445 0.7111
F 0.2180 0.9084 0.5000
F 0.2427 0.8413 0.0000
F 0.2573 0.3413 0.0000
F 0.2820 0.4084 0.5000
F 0.4831 0.7445 0.2889
F 0.4831 0.7445 0.7111
F 0.5000 0.0000 0.2181
F 0.5000 0.0000 0.7819
F 0.5000 0.5000 0.2030
F 0.5000 0.5000 0.7970
F 0.5169 0.2555 0.2889
F 0.5169 0.2555 0.7111
F 0.7180 0.5916 0.5000
F 0.7427 0.6587 0.0000
F 0.7573 0.1587 0.0000
F 0.7820 0.0916 0.5000
F 0.9831 0.7555 0.2889
F 0.9831 0.7555 0.7111
CELL_PARAMETERS angstrom
6.1684 0.0000 0.0000
0.0000 12.5999 0.0000
0.0000 0.0000 8.7315
```

=====

Li3Ag after structural relaxation, computed with r2SCAN. Values from VASP.

Properties
ΔE to the lowest computed polymorph	0.0	meV/atom
calculated formation energy	-0.122	eV/atom

```
&SYSTEM
  ibrav = 0, nat = 4, ntyp = 2
/
ATOMIC_SPECIES
Li 6.94 Li.upf
Ag 107.87 Ag.upf
ATOMIC_POSITIONS crystal
Li 0.0000 0.0000 0.0000
Li 0.2500 0.2500 0.2500
Li 0.7500 0.7500 0.7500
Ag 0.5000 0.5000 0.5000
CELL_PARAMETERS angstrom
0.0000 3.2020 3.2020
3.2020 0.0000 3.2020
3.2020 3.2020 0.0000
```